# 1
Compound: Li5Mn6B6O18
Source: the Materials Project database
Functional: PBE with a Hubbard U
Structure: optimized geometry

**Crystal system**: triclinic
**Formation enthalpy at 0 K**: -2.47 eV/atom

Cell and atoms, written as POSCAR:
```
Li5Mn6B6O18
1.0
5.269 0.000 0.000
-0.009 5.945 0.000
-2.411 -0.309 12.135
Li Mn B O
5 6 6 18
Cartesian
0.000 0.000 0.000
-0.864 4.126 7.587
0.155 1.761 8.039
1.720 0.180 3.587
1.823 2.044 11.659
-0.028 2.857 5.092
-0.740 3.136 10.517
2.539 4.829 1.202
1.892 5.146 6.400
2.722 0.679 9.225
4.374 1.356 2.425
-0.816 -0.073 5.065
-0.069 4.270 2.509
1.721 1.935 1.011
0.115 0.093 10.648
1.863 3.719 9.088
2.644 2.174 6.631
-1.265 2.301 6.789
0.365 1.841 0.784
-0.034 0.814 4.308
-0.177 4.970 5.922
-0.527 0.933 9.729
-0.657 5.133 11.398
1.268 4.409 2.718
0.502 3.623 8.880
2.484 2.865 0.279
2.375 1.074 1.891
1.884 3.100 5.921
1.924 1.155 7.306
1.476 0.193 10.852
3.090 -0.057 4.927
2.635 4.627 8.349
2.508 2.869 9.991
4.526 5.155 1.642
4.490 3.298 3.199
```

# 2
Compound: Li2MnBPO7
Source: the Materials Project database
Functional: PBE with a Hubbard U
Structure: optimized geometry

**Crystal system**: monoclinic
**Formation enthalpy at 0 K**: -2.46 eV/atom

Cell and atoms, written as POSCAR:
```
Li2MnBPO7
1.0
5.096 0.000 0.000
0.000 6.220 0.000
-0.472 0.000 8.635
Li Mn B P O
4 2 2 2 14
Cartesian
1.048 0.098 2.556
1.048 3.012 2.556
3.577 3.208 6.079
3.577 6.122 6.079
0.702 4.665 7.212
3.923 1.555 1.423
1.092 4.665 4.831
3.533 1.555 3.804
0.992 1.555 8.026
3.633 4.665 0.608
-0.163 4.665 5.482
0.700 1.555 0.735
0.603 0.355 7.135
0.603 2.755 7.135
1.300 4.665 3.527
2.114 4.665 0.294
2.078 4.665 5.856
2.547 1.555 2.779
2.511 1.555 8.341
3.325 1.555 5.108
4.022 3.465 1.500
4.022 5.865 1.500
3.924 4.665 7.900
4.787 1.555 3.153
```

Record-wise raw total energy values, in eV for the cell shown: -257.85 -165.48